Computed, not measured: a relaxed Sr3LaTaAl3O12 crystal at the PBE-GGA level of DFT.

* SG: Cmmm
* distance to the lowest polymorph of the same formula: 0.0 meV/atom
* total magnetization: 0.02 μB/atom
* formation energy from the elements: -3.416 eV/atom
* calculated volume: 468.7 Å³ per cell

Unit cell a=7.751 b=7.751 c=7.802 alpha=90.00 beta=90.00 gamma=90.32
Fractional positions:
O: 0.499 0.742 0.500
O: 0.504 0.745 0.000
O: 0.501 0.258 0.500
O: 0.254 0.746 0.255
O: 0.749 0.994 0.000
O: 0.746 0.254 0.255
O: 0.496 0.255 0.000
O: 0.742 0.499 0.500
O: 0.001 0.750 0.500
O: 0.258 0.501 0.500
O: 0.255 0.255 0.750
O: 0.250 0.999 0.500
O: 0.746 0.254 0.745
O: 0.006 0.251 0.000
O: 0.745 0.504 0.000
O: 0.994 0.749 0.000
O: 0.251 0.006 0.000
O: 0.750 0.001 0.500
O: 0.255 0.255 0.250
O: 0.745 0.745 0.250
O: 0.999 0.250 0.500
O: 0.745 0.745 0.750
O: 0.254 0.746 0.745
O: 0.255 0.496 0.000
Ta: 0.247 0.753 0.000
Ta: 0.753 0.247 0.000
Al: 0.752 0.248 0.500
Al: 0.250 0.250 0.000
Al: 0.753 0.753 0.500
Al: 0.248 0.752 0.500
Al: 0.247 0.247 0.500
Al: 0.750 0.750 0.000
Sr: 0.000 0.500 0.738
Sr: 0.000 0.000 0.262
Sr: 0.500 0.000 0.738
Sr: 0.000 0.000 0.738
Sr: 0.000 0.500 0.262
Sr: 0.500 0.000 0.262
La: 0.500 0.500 0.264
La: 0.500 0.500 0.736